<A>
A geometry-optimized CsH2SNO3 structure. Source: the Materials Project database, functional PBE.

a b c (Å): 8.323 7.654 8.723
angles (deg): 90.00 115.27 90.00
Space group P2_1/c (No. 14)
Inequivalent atoms, fractional coordinates:
Cs: 0.184 0.146 0.440
H: 0.357 0.617 0.736
H: 0.470 0.008 0.159
S: 0.271 0.652 0.455
N: 0.346 0.537 0.636
O: 0.102 0.728 0.434
O: 0.254 0.519 0.326
O: 0.404 0.713 0.969

<B>
A geometry-optimized CsH2SNO3 structure. Source: the Materials Project database, functional PBE.

a b c (Å): 8.702 6.789 8.686
angles (deg): 90.00 90.00 90.00
Space group Pnma (No. 62)
Inequivalent atoms, fractional coordinates:
Cs: 0.109 0.250 0.100
H: 0.002 0.130 0.468
S: 0.155 0.250 0.656
N: 0.003 0.750 0.460
O: 0.138 0.068 0.745
O: 0.207 0.750 0.058

Q: Which of them is the most stable? A: <A>.

<A>
A geometry-optimized CsTiH24S2O20 structure. Source: the Materials Project database, functional PBE.

a b c (Å): 12.434 12.463 12.475
angles (deg): 90.00 90.00 90.00
Space group Pbca (No. 61)
Inequivalent atoms, fractional coordinates:
Cs: 0.000 0.000 0.000
Ti: 0.000 0.000 0.500
H: 0.008 0.229 0.218
H: 0.022 0.214 0.561
H: 0.022 0.709 0.065
H: 0.058 0.526 0.792
H: 0.065 0.522 0.212
H: 0.127 0.220 0.179
H: 0.184 0.628 0.280
H: 0.210 0.061 0.523
H: 0.213 0.561 0.974
H: 0.219 0.183 0.871
H: 0.223 0.509 0.272
H: 0.231 0.221 0.989
S: 0.172 0.673 0.673
O: 0.001 0.165 0.499
O: 0.005 0.004 0.664
O: 0.053 0.207 0.155
O: 0.062 0.722 0.668
O: 0.160 0.554 0.293
O: 0.164 0.563 0.720
O: 0.165 0.000 0.497
O: 0.207 0.159 0.945
O: 0.216 0.666 0.561
O: 0.243 0.742 0.740

<B>
A geometry-optimized CsTiH24S2O20 structure. Source: the Materials Project database, functional PBE.

a b c (Å): 13.349 13.349 13.349
angles (deg): 90.00 90.00 90.00
Space group Pa-3 (No. 205)
Inequivalent atoms, fractional coordinates:
Cs: 0.000 0.000 0.000
Ti: 0.000 0.000 0.500
H: 0.015 0.202 0.551
H: 0.020 0.697 0.064
H: 0.035 0.727 0.688
H: 0.089 0.715 0.679
S: 0.174 0.174 0.174
O: 0.002 0.156 0.493
O: 0.032 0.679 0.365
O: 0.050 0.237 0.161
O: 0.236 0.236 0.236

Q: Which of them is the most stable? A: <A>.